[1]
Material: BaV2P4O14
Method: DFT, GGA+U
State: relaxed

Results
**VASP energy**: -7.5207 eV/atom
**Total energy after the MP2020 corrections**: -170.95 eV/f.u.
**Distance to the lowest polymorph of the same formula**: 0 meV/atom
**Calculated volume**: 14.25 Å³ per atom

Unit cell a=6.262 b=12.580 c=8.063 alpha=102.17 beta=101.24 gamma=77.31
Positions (direct):
Ba: 0.000 0.000 0.000
Ba: 0.500 0.500 0.000
V: 0.533 0.846 0.231
V: 0.467 0.154 0.769
V: 0.033 0.346 0.230
V: 0.967 0.654 0.770
P: 0.950 0.236 0.810
P: 0.450 0.736 0.810
P: 0.550 0.264 0.190
P: 0.050 0.764 0.190
P: 0.357 0.123 0.334
P: 0.857 0.623 0.334
P: 0.143 0.377 0.666
P: 0.643 0.877 0.666
O: 0.601 0.177 0.032
O: 0.101 0.677 0.032
O: 0.898 0.323 0.968
O: 0.399 0.823 0.968
O: 0.419 0.010 0.219
O: 0.919 0.510 0.219
O: 0.081 0.490 0.781
O: 0.582 0.990 0.781
O: 0.773 0.165 0.740
O: 0.273 0.665 0.740
O: 0.727 0.335 0.260
O: 0.227 0.835 0.260
O: 0.541 0.197 0.338
O: 0.041 0.697 0.338
O: 0.958 0.303 0.662
O: 0.458 0.803 0.662
O: 0.357 0.117 0.518
O: 0.857 0.616 0.518
O: 0.143 0.384 0.482
O: 0.643 0.883 0.481
O: 0.366 0.321 0.759
O: 0.866 0.820 0.759
O: 0.134 0.180 0.241
O: 0.634 0.679 0.241
O: 0.326 0.343 0.158
O: 0.826 0.843 0.158
O: 0.174 0.157 0.842
O: 0.674 0.657 0.842

***

[2]
Material: BaVPO6
Method: DFT, GGA+U
State: relaxed

Results
**VASP energy**: -7.3485 eV/atom
**Total energy after the MP2020 corrections**: -71.96 eV/f.u.
**Calculated volume**: 14.44 Å³ per atom

Unit cell a=10.143 b=5.833 c=8.790 alpha=89.09 beta=90.00 gamma=90.00
Positions (direct):
Ba: 0.190 0.143 0.414
Ba: 0.690 0.857 0.086
Ba: 0.810 0.857 0.586
Ba: 0.310 0.143 0.914
V: 0.088 0.650 0.084
V: 0.588 0.350 0.416
V: 0.912 0.350 0.916
V: 0.412 0.650 0.584
P: 0.885 0.347 0.281
P: 0.385 0.653 0.219
P: 0.115 0.653 0.719
P: 0.615 0.347 0.781
O: 0.915 0.135 0.378
O: 0.415 0.865 0.122
O: 0.085 0.865 0.622
O: 0.585 0.135 0.878
O: 0.071 0.318 0.983
O: 0.571 0.682 0.517
O: 0.929 0.682 0.017
O: 0.429 0.318 0.483
O: 0.130 0.898 0.161
O: 0.630 0.102 0.339
O: 0.870 0.102 0.839
O: 0.370 0.898 0.661
O: 0.334 0.721 0.382
O: 0.834 0.279 0.118
O: 0.666 0.279 0.618
O: 0.166 0.721 0.882
O: 0.482 0.485 0.767
O: 0.982 0.515 0.733
O: 0.518 0.515 0.233
O: 0.018 0.485 0.267
O: 0.223 0.495 0.648
O: 0.723 0.505 0.852
O: 0.777 0.505 0.352
O: 0.277 0.495 0.148

***

[3]
Material: Ba3V2P3O15
Method: DFT, GGA+U
State: relaxed

Results
**VASP energy**: -7.3709 eV/atom
**Total energy after the MP2020 corrections**: -183.24 eV/f.u.
**Calculated volume**: 15.14 Å³ per atom

Unit cell a=5.197 b=12.649 c=21.187 alpha=90.00 beta=90.00 gamma=90.00
Positions (direct):
Ba: 0.192 0.624 0.437
Ba: 0.308 0.376 0.937
Ba: 0.724 0.139 0.420
Ba: 0.203 0.782 0.757
Ba: 0.692 0.876 0.563
Ba: 0.297 0.218 0.257
Ba: 0.808 0.124 0.063
Ba: 0.224 0.361 0.580
Ba: 0.276 0.639 0.080
Ba: 0.797 0.282 0.743
Ba: 0.703 0.718 0.243
Ba: 0.776 0.861 0.920
V: 0.673 0.608 0.680
V: 0.714 0.442 0.347
V: 0.786 0.558 0.847
V: 0.327 0.108 0.820
V: 0.286 0.942 0.153
V: 0.827 0.392 0.180
V: 0.214 0.058 0.653
V: 0.173 0.892 0.320
P: 0.219 0.325 0.411
P: 0.187 0.681 0.594
P: 0.699 0.964 0.739
P: 0.199 0.536 0.261
P: 0.301 0.464 0.761
P: 0.781 0.825 0.089
P: 0.687 0.819 0.406
P: 0.801 0.036 0.239
P: 0.813 0.181 0.906
P: 0.281 0.675 0.911
P: 0.719 0.175 0.589
P: 0.313 0.319 0.094
O: 0.013 0.831 0.136
O: 0.293 0.430 0.066
O: 0.789 0.716 0.056
O: 0.967 0.177 0.632
O: 0.942 0.694 0.638
O: 0.210 0.135 0.747
O: 0.667 0.068 0.778
O: 0.751 0.514 0.158
O: 0.442 0.806 0.362
O: 0.289 0.784 0.944
O: 0.711 0.284 0.556
O: 0.710 0.365 0.253
O: 0.038 0.049 0.194
O: 0.487 0.169 0.636
O: 0.712 0.507 0.415
O: 0.333 0.568 0.722
O: 0.287 0.368 0.717
O: 0.793 0.070 0.934
O: 0.932 0.794 0.362
O: 0.033 0.677 0.868
O: 0.513 0.669 0.864
O: 0.787 0.132 0.283
O: 0.288 0.007 0.085
O: 0.211 0.216 0.444
O: 0.533 0.823 0.132
O: 0.221 0.417 0.457
O: 0.538 0.451 0.806
O: 0.432 0.706 0.638
O: 0.249 0.014 0.342
O: 0.824 0.267 0.956
O: 0.676 0.733 0.456
O: 0.324 0.233 0.044
O: 0.779 0.917 0.043
O: 0.790 0.635 0.753
O: 0.833 0.932 0.278
O: 0.707 0.930 0.434
O: 0.251 0.986 0.842
O: 0.788 0.493 0.915
O: 0.207 0.570 0.566
O: 0.290 0.865 0.247
O: 0.462 0.951 0.694
O: 0.987 0.331 0.364
O: 0.058 0.194 0.862
O: 0.568 0.206 0.862
O: 0.213 0.632 0.217
O: 0.443 0.534 0.303
O: 0.943 0.966 0.697
O: 0.212 0.993 0.585
O: 0.176 0.767 0.544
O: 0.713 0.868 0.783
O: 0.167 0.432 0.222
O: 0.557 0.034 0.197
O: 0.558 0.306 0.138
O: 0.962 0.549 0.306
O: 0.057 0.466 0.803
O: 0.279 0.583 0.957
O: 0.721 0.083 0.543
O: 0.749 0.486 0.658
O: 0.467 0.323 0.368
O: 0.068 0.294 0.138

***

[4]
Material: BaV2P2O14
Method: DFT, GGA+U
State: relaxed

Results
**VASP energy**: -6.8783 eV/atom
**Total energy after the MP2020 corrections**: -136.34 eV/f.u.
**Calculated volume**: 14.42 Å³ per atom

Unit cell a=13.620 b=6.343 c=8.978 alpha=44.96 beta=90.00 gamma=90.00
Positions (direct):
Ba: 0.248 0.012 0.471
Ba: 0.752 0.012 0.971
V: 0.968 0.375 0.411
V: 0.032 0.375 0.911
V: 0.534 0.191 0.214
V: 0.466 0.191 0.714
P: 0.497 0.696 0.707
P: 0.503 0.696 0.207
P: 0.002 0.887 0.407
P: 0.998 0.887 0.907
O: 0.427 0.888 0.710
O: 0.573 0.888 0.210
O: 0.440 0.482 0.407
O: 0.560 0.482 0.907
O: 0.071 0.687 0.603
O: 0.929 0.687 0.103
O: 0.732 0.271 0.141
O: 0.268 0.271 0.641
O: 0.246 0.539 0.487
O: 0.754 0.539 0.987
O: 0.932 0.069 0.417
O: 0.068 0.069 0.917
O: 0.428 0.518 0.689
O: 0.572 0.518 0.189
O: 0.770 0.443 0.408
O: 0.230 0.443 0.908
O: 0.253 0.499 0.013
O: 0.747 0.499 0.513
O: 0.414 0.171 0.235
O: 0.586 0.171 0.735
O: 0.087 0.351 0.413
O: 0.913 0.351 0.913
O: 0.940 0.699 0.394
O: 0.060 0.699 0.894
O: 0.073 0.097 0.214
O: 0.927 0.097 0.714
O: 0.568 0.898 0.515
O: 0.432 0.898 0.015